A plane-wave DFT calculation with PBE was carried out for a relaxed structure of Dy4FeS7.

abc: 12.0735 3.7616 11.2842
angles: 90.00 104.26 90.00
With the nearest neighbours (Å) after each atom.
Space group Cm (No. 8)
Inequivalent atoms, fractional coordinates:
Dy1 0.0000 0.0000 0.0000 x2  6 S 2.73-2.84
Dy2 0.0937 0.5000 0.3375 x2  6 S 2.67-2.80
Dy3 0.1990 0.5000 0.7943 x2  6 S 2.68-2.70
Dy4 0.3930 0.0000 0.5751 x2  6 S 2.70-2.89
Fe1 0.3099 0.5000 0.2094 x2  6 S 2.34-2.47
S1 0.0373 0.0000 0.7257 x2  4 Dy 2.68-2.83
S2 0.1683 0.5000 0.0221 x2  1 Fe 2.37
S3 0.2203 0.0000 0.2664 x2  2 Fe 2.34
S4 0.2307 0.5000 0.5654 x2  4 Dy 2.69-2.70
S5 0.3644 0.0000 0.8388 x2  4 Dy 2.70-2.84
S6 0.4127 0.0000 0.1427 x2  2 Fe 2.47, 1 Dy 2.69
S7 0.4491 0.5000 0.4047 x2  1 Fe 2.42



A plane-wave DFT calculation with PBE was carried out for a relaxed structure of Dy4FeSe7.

abc: 13.0305 3.9516 11.9416
angles: 90.00 104.20 90.00
With the nearest neighbours (Å) after each atom.
Space group Cm (No. 8)
Inequivalent atoms, fractional coordinates:
Dy1 0.0000 0.0000 0.0000 x2  7 Se 2.87-3.20
Dy2 0.0812 0.5000 0.3588 x2  6 Se 2.80-2.91
Dy3 0.1942 0.5000 0.8003 x2  6 Se 2.78-2.85
Dy4 0.3886 0.0000 0.5955 x2  7 Se 2.83-3.11
Fe1 0.3053 0.5000 0.2187 x2  6 Se 2.60-2.76
Se1 0.0333 0.0000 0.7431 x2  4 Dy 2.84-2.99
Se2 0.1640 0.5000 0.0228 x2  1 Fe 2.60, 3 Dy 2.78-2.87
Se3 0.2050 0.0000 0.2890 x2  2 Fe 2.62, 2 Dy 2.80
Se4 0.2295 0.5000 0.5783 x2  4 Dy 2.80-2.85
Se5 0.3566 0.0000 0.8452 x2  5 Dy 2.85-3.11
Se6 0.4236 0.0000 0.1479 x2  2 Fe 2.76, 3 Dy 2.83-2.98
Se7 0.4471 0.5000 0.4319 x2  1 Fe 2.75, 4 Dy 2.91-3.00



A plane-wave DFT calculation with PBE was carried out for a relaxed structure of Dy3Fe2Si7.

abc: 4.0878 4.0316 24.4784
angles: 90.00 90.00 90.00
With the nearest neighbours (Å) after each atom.
Space group Amm2 (No. 38)
Inequivalent atoms, fractional coordinates:
Dy1 0.0000 0.0000 0.0000 x2  10 Si 3.00-3.11, 4 Fe 3.19
Dy2 0.0000 0.0000 0.3691 x2  10 Si 3.00-3.11, 4 Fe 3.20
Dy3 0.5000 0.0000 0.6849 x2  12 Si 2.88-3.01, 2 Fe 3.10-3.13
Fe1 0.5000 0.0000 0.5569 x2  5 Si 2.23-2.27
Fe2 0.5000 0.0000 0.8115 x2  5 Si 2.22-2.27
Si1 0.0000 0.0000 0.1777 x2  8 Si 2.86-3.10, 4 Dy 2.88
Si2 0.0000 0.0000 0.5947 x2  2 Fe 2.24
Si3 0.0000 0.0000 0.7735 x2  2 Fe 2.25
Si4 0.5000 0.0000 0.0955 x2  2 Fe 2.23
Si5 0.5000 0.0000 0.2732 x2  2 Fe 2.22
Si6 0.5000 0.0000 0.4641 x2  1 Fe 2.27, 2 Si 2.49
Si7 0.5000 0.0000 0.9042 x2  1 Fe 2.27, 2 Si 2.49



A plane-wave DFT calculation with PBE was carried out for a relaxed structure of DyFe2Si2.

abc: 3.9637 3.9637 9.5096
angles: 90.00 90.00 90.00
With the nearest neighbours (Å) after each atom.
Space group I4/mmm (No. 139)
Inequivalent atoms, fractional coordinates:
Dy1 0.0000 0.0000 0.0000 x2  8 Si 3.08, 8 Fe 3.10
Fe1 0.0000 0.5000 0.2500 x4  4 Si 2.27
Si1 0.0000 0.0000 0.3655 x4  4 Fe 2.27



A plane-wave DFT calculation with PBE was carried out for a relaxed structure of Dy2Fe3Si5.

abc: 10.3578 10.3578 5.4798
angles: 90.00 90.00 90.00
With the nearest neighbours (Å) after each atom.
Space group P4/mnc (No. 128)
Inequivalent atoms, fractional coordinates:
Dy1 0.0683 0.2370 0.0000 x8  9 Si 2.76-3.03, 2 Fe 3.08
Fe1 0.0000 0.5000 0.2500 x4  4 Si 2.32
Fe2 0.1236 0.8557 0.5000 x8  6 Si 2.34-2.40
Si1 0.0000 0.0000 0.2684 x4  4 Fe 2.34, 1 Si 2.54
Si2 0.0207 0.3201 0.5000 x8  4 Fe 2.32-2.40, 2 Si 2.48
Si3 0.1789 0.6789 0.2500 x8  3 Fe 2.36-2.62, 2 Si 2.48



A plane-wave DFT calculation with PBE was carried out for a relaxed structure of Dy2FeSi4.

abc: 4.0488 4.0384 15.7428
angles: 90.00 90.00 90.00
With the nearest neighbours (Å) after each atom.
Space group Amm2 (No. 38)
Inequivalent atoms, fractional coordinates:
Dy1 0.0000 0.0000 0.0000 x2  2 Fe 3.00, 11 Si 3.04-3.18
Dy2 0.5000 0.0000 0.2178 x2  2 Fe 3.01, 11 Si 3.05-3.15
Fe1 0.0000 0.0000 0.3592 x2  4 Si 2.19-2.21
Si1 0.0000 0.0000 0.6458 x2  3 Si 2.39-2.45
Si2 0.0000 0.0000 0.8017 x2  2 Fe 2.21, 1 Si 2.45
Si3 0.5000 0.0000 0.4115 x2  2 Fe 2.19, 1 Si 2.42
Si4 0.5000 0.0000 0.5653 x2  3 Si 2.39-2.42



A plane-wave DFT calculation with PBE was carried out for a relaxed structure of Dy2FeSi2.

abc: 10.5006 4.1392 9.9826
angles: 90.00 119.27 90.00
With the nearest neighbours (Å) after each atom.
Space group C2/m (No. 12)
Inequivalent atoms, fractional coordinates:
Dy1 0.0008 0.0000 0.3285 x4  7 Si 2.89-3.23, 4 Fe 2.93-3.13
Dy2 0.1885 0.0000 0.1094 x4  5 Si 2.84-3.03
Fe1 0.2280 0.5000 0.3769 x4  4 Si 2.33-2.48
Si1 0.0008 0.5000 0.8740 x4  1 Fe 2.48, 1 Si 2.52
Si2 0.1552 0.5000 0.5643 x4  3 Fe 2.33-2.34



A plane-wave DFT calculation with PBE was carried out for a relaxed structure of SmDyFe17.

abc: 8.5007 8.5007 12.3725
angles: 90.00 90.00 120.00
With the nearest neighbours (Å) after each atom.
Space group R3m (No. 160, hexagonal axes)
Inequivalent atoms, fractional coordinates:
Sm1 0.0000 0.0000 0.0000 x3  19 Fe 3.03-3.28
Dy1 0.0000 0.0000 0.6836 x3  19 Fe 3.02-3.27
Fe1 0.0000 0.0000 0.2456 x3  7 Fe 2.39-2.65
Fe2 0.0000 0.0000 0.4387 x3  7 Fe 2.39-2.64
Fe3 0.9995 0.4998 0.4978 x9  9 Fe 2.46-2.65
Fe4 0.9996 0.4998 0.8421 x9  10 Fe 2.42-2.61
Fe5 0.0005 0.2928 0.3420 x18  8 Fe 2.42-2.62
Fe6 0.0010 0.5005 0.1859 x9  9 Fe 2.45-2.64



no.,ΔH_f (0 K) (eV per atom),final energy (eV/cell)
1,-1.9641,-151.800
2,-1.7857,-138.987
3,-0.5730,-152.221
4,-0.6490,-71.569
5,-0.6593,-274.791
6,-0.4886,-86.178
7,-0.6717,-128.139
8,0.0083,-459.474